# Ba3NiF12

A geometry-optimized Ba3NiF12 structure (PBE+U, the Materials Project database).

Cell and atoms, written as CIF:
```
data_Ba3NiF12
_cell_length_a 7.308
_cell_length_b 12.532
_cell_length_c 7.322
_cell_angle_alpha 90.00
_cell_angle_beta 99.71
_cell_angle_gamma 90.00
_symmetry_space_group_name_H-M 'C 1 2/m 1'
_symmetry_Int_Tables_number 12
loop_
_symmetry_equiv_pos_as_xyz
'x,y,z'
'-x,-y,-z'
'-x,y,-z'
'x,-y,z'
'x+1/2,y+1/2,z'
'-x+1/2,-y+1/2,-z'
'-x+1/2,y+1/2,-z'
'x+1/2,-y+1/2,z'
loop_
_atom_site_label
_atom_site_fract_x
_atom_site_fract_y
_atom_site_fract_z
_atom_site_occupancy
Ba1 0.000 0.000 0.000 1
Ba2 0.250 0.250 0.500 1
Ni1 0.000 0.000 0.500 1
F1 0.015 0.107 0.684 1
F2 0.035 0.357 0.685 1
F3 0.193 0.285 0.910 1
```

Total energy after the MP2020 corrections ... -4.774 eV/atom
Total magnetic moment ... 0.125 μB/atom
Final energy ... -136.6 eV per cell